1.
First-principles (PBE) data for an optimized crystal structure of TmAlNi4, as listed in the Materials Project database.

Unit cell a=5.0221 b=5.0221 c=3.8536 alpha=90.00 beta=90.00 gamma=120.00
With the nearest neighbours (Å) after each atom.
Space group P-6m2 (No. 187)
Asymmetric unit:
Tm  0.0000  0.0000  0.0000  15 Ni 2.90-3.17, 3 Al 2.90
Al  0.3333  0.6667  0.0000  6 Ni 2.42
Ni  0.5018  0.0037  0.5000  6 Ni 2.40-2.54, 2 Al 2.42
Ni  0.6667  0.3333  0.0000  6 Ni 2.40

## Properties
ΔE_f   -0.4701 eV per atom
Energy above the most stable polymorph in this dataset   68 meV per atom

---

2.
First-principles (PBE) data for an optimized crystal structure of TmAl3Ni2, as listed in the Materials Project database.

Unit cell a=8.9350 b=8.9350 c=4.0032 alpha=90.00 beta=90.00 gamma=120.00
With the nearest neighbours (Å) after each atom.
Space group P6/mmm (No. 191)
Asymmetric unit:
Tm  0.0000  0.0000  0.0000  6 Ni 2.81
Tm  0.3333  0.6667  0.5000  6 Ni 3.09, 12 Al 3.16-3.26
Al  0.0000  0.2958  0.5000  4 Ni 2.45, 4 Al 2.64-2.71
Al  0.0000  0.5000  0.0000  4 Ni 2.47, 4 Al 2.71
Ni  0.1814  0.3628  0.0000  6 Al 2.45-2.47

## Properties
ΔE_f   -0.6560 eV per atom

---

3.
First-principles (PBE) data for an optimized crystal structure of TmAlNi4, as listed in the Materials Project database.

Unit cell a=4.9711 b=8.3483 c=4.0199 alpha=90.00 beta=90.00 gamma=90.00
With the nearest neighbours (Å) after each atom.
Space group Cmmm (No. 65)
Asymmetric unit:
Tm  0.0000  0.0000  0.0000  6 Ni 2.78-2.85
Al  0.0000  0.5000  0.5000  8 Ni 2.43-2.44
Ni  0.0000  0.3335  0.0000  2 Al 2.44, 4 Ni 2.46
Ni  0.2500  0.2500  0.5000  2 Al 2.43, 6 Ni 2.46-2.49

## Properties
ΔE_f   -0.5385 eV per atom
Energy above the most stable polymorph in this dataset   0 meV per atom

---

4.
First-principles (PBE) data for an optimized crystal structure of TmAl2Ni, as listed in the Materials Project database.

Unit cell a=4.0467 b=9.9827 c=6.8543 alpha=90.00 beta=90.00 gamma=90.00
With the nearest neighbours (Å) after each atom.
Space group Cmcm (No. 63)
Asymmetric unit:
Tm  0.0000  0.0631  0.2500  3 Ni 2.78-3.00, 4 Al 3.04
Al  0.0000  0.3470  0.0536  3 Ni 2.46-2.51, 1 Al 2.69
Ni  0.0000  0.2150  0.7500  6 Al 2.46-2.51

## Properties
ΔE_f   -0.6525 eV per atom

---

5.
First-principles (PBE) data for an optimized crystal structure of Tm2AlNi2, as listed in the Materials Project database.

Unit cell a=4.0640 b=5.4024 c=8.2513 alpha=90.00 beta=90.00 gamma=90.00
With the nearest neighbours (Å) after each atom.
Space group Immm (No. 71)
Asymmetric unit:
Tm  0.0000  0.0000  0.2043  6 Ni 2.85-2.91, 4 Al 3.17-3.18
Al  0.0000  0.5000  0.0000  4 Ni 2.51
Ni  0.0000  0.2735  0.5000  1 Ni 2.45, 2 Al 2.51

## Properties
ΔE_f   -0.5833 eV per atom

---

6.
First-principles (PBE) data for an optimized crystal structure of U4Al18Ni5, as listed in the Materials Project database.

Unit cell a=15.6205 b=4.0371 c=16.0631 alpha=90.00 beta=117.26 gamma=90.00
With the nearest neighbours (Å) after each atom.
Space group Cm (No. 8)
Asymmetric unit:
U  0.0000  0.0000  0.0000  11 Al 3.00-3.29, 2 Ni 3.21
U  0.0361  0.5000  0.6744  11 Al 2.99-3.35, 2 Ni 3.20
U  0.2106  0.0000  0.4474  12 Al 2.97-3.32, 2 Ni 3.22
U  0.3303  0.0000  0.2266  13 Al 2.99-3.35, 2 Ni 3.20
Al  0.0630  0.0000  0.5484  2 Ni 2.46, 1 Al 2.64
Al  0.0684  0.5000  0.3148  3 Ni 2.40-2.49, 1 Al 2.63
Al  0.0704  0.5000  0.8963  2 Ni 2.46, 1 Al 2.76
Al  0.1381  0.0000  0.2256  1 Ni 2.33
Al  0.1650  0.5000  0.1151  6 Al 2.78-3.04, 2 U 3.12
Al  0.1949  0.0000  0.7354  3 Ni 2.49, 2 Al 2.63-2.76
Al  0.1986  0.0000  0.0142  2 Ni 2.36-2.37
Al  0.2039  0.5000  0.5956  2 Ni 2.36-2.39
Al  0.2446  0.5000  0.8825  5 Ni 2.42-2.62
Al  0.2713  0.5000  0.3383  8 Al 2.86-3.19, 4 U 3.09-3.11
Al  0.3331  0.0000  0.6684  8 Al 2.71-2.90, 2 Ni 2.73
Al  0.3395  0.5000  0.0790  3 Ni 2.40-2.49
Al  0.3725  0.5000  0.5608  8 Al 2.85-3.18, 4 U 3.09-3.11
Al  0.3789  0.0000  0.8565  3 Ni 2.48-2.49, 3 Al 2.63-2.77
Al  0.4030  0.0000  0.4521  1 Ni 2.34
Al  0.4549  0.5000  0.7704  2 Ni 2.38-2.40
Al  0.4727  0.5000  0.3639  3 Ni 2.39-2.50, 1 Al 2.64
Al  0.4808  0.0000  0.1308  3 Ni 2.41-2.47, 1 Al 2.63
Ni  0.0554  0.5000  0.4582  7 Al 2.34-2.50
Ni  0.1266  0.0000  0.8481  7 Al 2.37-2.62
Ni  0.2976  0.5000  0.7624  7 Al 2.39-2.49
Ni  0.3340  0.0000  0.9856  7 Al 2.36-2.58
Ni  0.4872  0.5000  0.2219  7 Al 2.33-2.49

## Properties
ΔE_f   -0.3139 eV per atom

---

Copy entry 1 word for word.
First-principles (PBE) data for an optimized crystal structure of TmAlNi4, as listed in the Materials Project database.

Unit cell a=5.0221 b=5.0221 c=3.8536 alpha=90.00 beta=90.00 gamma=120.00
With the nearest neighbours (Å) after each atom.
Space group P-6m2 (No. 187)
Asymmetric unit:
Tm  0.0000  0.0000  0.0000  15 Ni 2.90-3.17, 3 Al 2.90
Al  0.3333  0.6667  0.0000  6 Ni 2.42
Ni  0.5018  0.0037  0.5000  6 Ni 2.40-2.54, 2 Al 2.42
Ni  0.6667  0.3333  0.0000  6 Ni 2.40

## Properties
ΔE_f   -0.4701 eV per atom
Energy above the most stable polymorph in this dataset   68 meV per atom

---

The highest ΔE_f belongs to which entry?
U4Al18Ni5